Entry from Materials Project: a relaxed MnAl2P2H10O13F2 crystal (PBE with a Hubbard U).

Output
Crystal system: triclinic
Electronic total energy in eV/cell: -366.836
MP2020-corrected energy in eV per atom: -6.498
Spin magnetization in μB per formula unit: 4.95
Space group: P-1, No. 2
ΔE_f in eV/f.u.: -65.38

a b c (Å): 6.097 9.920 10.001
angles (deg): 97.31 99.69 92.80
Fractional coordinates of all 60 atoms:
Mn 0.152 0.089 0.408
Mn 0.848 0.911 0.592
Al 0.000 0.500 0.000
Al 0.315 0.784 0.201
Al 0.500 0.000 0.000
Al 0.685 0.216 0.799
P 0.211 0.232 0.897
P 0.414 0.939 0.670
P 0.586 0.061 0.330
P 0.789 0.768 0.103
H 0.001 0.649 0.810
H 0.019 0.703 0.435
H 0.108 0.867 0.821
H 0.135 0.148 0.137
H 0.200 0.552 0.799
H 0.217 0.270 0.637
H 0.387 0.592 0.339
H 0.404 0.731 0.451
H 0.429 0.411 0.157
H 0.489 0.655 0.710
H 0.511 0.345 0.290
H 0.571 0.589 0.843
H 0.596 0.269 0.549
H 0.613 0.408 0.661
H 0.783 0.730 0.363
H 0.800 0.448 0.201
H 0.865 0.852 0.863
H 0.892 0.133 0.179
H 0.981 0.297 0.565
H 0.999 0.351 0.190
O 0.016 0.811 0.197
O 0.049 0.173 0.212
O 0.050 0.557 0.826
O 0.129 0.278 0.546
O 0.193 0.976 0.586
O 0.203 0.369 0.988
O 0.277 0.127 0.996
O 0.327 0.682 0.358
O 0.377 0.924 0.817
O 0.382 0.245 0.801
O 0.392 0.948 0.323
O 0.472 0.571 0.752
O 0.499 0.192 0.398
O 0.501 0.808 0.602
O 0.528 0.429 0.248
O 0.608 0.052 0.677
O 0.618 0.755 0.199
O 0.623 0.076 0.183
O 0.673 0.318 0.642
O 0.723 0.873 0.004
O 0.797 0.631 0.012
O 0.807 0.024 0.414
O 0.871 0.722 0.454
O 0.950 0.443 0.174
O 0.951 0.827 0.788
O 0.984 0.189 0.803
F 0.237 0.619 0.090
F 0.308 0.876 0.052
F 0.692 0.124 0.948
F 0.763 0.381 0.910